VASP calculation (PBE) on an optimized crystal structure of LiHF2.

Cell lengths 5.095, 3.070, 4.903 Å; angles 90.00, 121.02, 90.00 degrees
Fractional coordinates of all 8 atoms:
1 Li 0.000 0.000 0.000
2 Li 0.500 0.500 0.000
3 H 0.000 0.000 0.500
4 H 0.500 0.500 0.500
5 F 0.210 0.000 0.751
6 F 0.290 0.500 0.249
7 F 0.710 0.500 0.751
8 F 0.790 0.000 0.249

Summary:
E above lowest polymorph	0.022	eV/atom
energy of formation	-2.517	eV/atom
total DFT energy (no corrections)	-4.569	eV/atom